VASP calculation (PBE) on a relaxed structure of Be3Ru.

Calculated values
The calculated formation energy comes out at -0.334 eV/atom.

a b c (Å): 3.1798 3.1798 7.5086
angles (deg): 90.00 90.00 90.00
Closest atoms and distances in Å follow each position.
Space group I4/mmm (No. 139)
One atom of each set of equivalent atoms:
1 Be 0.0000 0.0000 0.0000 (multiplicity 2)  4 Ru 2.25, 8 Be 2.46
2 Be 0.0000 0.5000 0.2500 (multiplicity 4)  8 Be 2.25-2.46, 4 Ru 2.46
3 Ru 0.0000 0.0000 0.5000 (multiplicity 2)  12 Be 2.25-2.46

VASP calculation (PBE) on a relaxed structure of Be8Ru.

Calculated values
The calculated formation energy comes out at -0.113 eV/atom.

a b c (Å): 4.1625 4.1625 10.9787
angles (deg): 90.00 90.00 120.00
Closest atoms and distances in Å follow each position.
Space group P-6m2 (No. 187)
One atom of each set of equivalent atoms:
1 Be 0.0000 0.0000 0.0000 (multiplicity 1)  6 Be 2.34
2 Be 0.0000 0.0000 0.3439 (multiplicity 2)  6 Be 2.11-2.14
3 Be 0.1669 0.3338 0.1832 (multiplicity 6)  7 Be 2.08-2.29
4 Be 0.3333 0.6667 0.3736 (multiplicity 2)  12 Be 2.41-2.50, 3 Ru 2.51
5 Be 0.3422 0.1711 0.5000 (multiplicity 3)  6 Be 2.03-2.14
6 Be 0.6667 0.3333 0.0970 (multiplicity 2)  7 Be 2.13-2.29, 1 Ru 2.31
7 Ru 0.6667 0.3333 0.3071 (multiplicity 2)  16 Be 2.31-2.51

VASP calculation (PBE) on a relaxed structure of Be3Ru2.

Calculated values
The calculated formation energy comes out at 0.083 eV/atom.

a b c (Å): 9.6255 9.6255 9.6255
angles (deg): 90.00 90.00 90.00
Closest atoms and distances in Å follow each position.
Space group Ia-3 (No. 206)
One atom of each set of equivalent atoms:
1 Be 0.0390 0.1490 0.5973 (multiplicity 48)  3 Be 2.08-2.29, 2 Ru 2.24
2 Ru 0.0000 0.2500 0.3682 (multiplicity 24)  6 Be 2.24-2.44
3 Ru 0.2500 0.2500 0.2500 (multiplicity 8)  6 Ru 2.66, 6 Be 2.69